# 1
Below is Ca2Ti6N2O11 after structural relaxation, with properties calculated at the PBE-GGA level.

```
Ca2Ti6N2O11
1.0
3.7555 0.0000 0.0000
-1.8422 7.4961 0.0000
-0.0239 -1.8735 9.4143
Ca Ti N O
2 6 2 11
Direct
0.5443 0.1038 0.7308
0.4795 0.9354 0.1992
0.1260 0.2520 0.0656
0.1606 0.3203 0.4347
0.2386 0.4765 0.7475
0.7744 0.5519 0.2430
0.8344 0.6732 0.5700
0.8897 0.7805 0.8929
0.2939 0.5902 0.5875
0.9364 0.8761 0.7279
0.0601 0.1108 0.3090
0.1226 0.2396 0.6101
0.1426 0.2849 0.8866
0.6396 0.2802 0.1117
0.6980 0.3964 0.4252
0.7532 0.5057 0.7726
0.2354 0.4740 0.2411
0.3566 0.7139 0.8992
0.8432 0.6926 0.1165
0.8670 0.7514 0.3993
0.9960 0.9997 0.0295
```

Results
Volume: 12.62 Å³ per atom
Calculated formation energy: -3.115 eV per atom
ΔE to the lowest computed polymorph: 0.30 eV/f.u.

# 2
Below is Ca2Ti6N2O11 after structural relaxation, with properties calculated at the PBE-GGA level.

```
Ca2Ti6N2O11
1.0
3.1774 -1.3246 6.9312
5.7789 -2.5353 4.4798
4.7655 8.0780 1.0679
Ca Ti N O
2 6 2 11
Direct
0.5530 0.5530 0.2535
0.4636 0.4636 0.7725
0.1224 0.1224 0.9235
0.1629 0.1629 0.5629
0.2382 0.2382 0.2498
0.7728 0.7728 0.7627
0.8367 0.8367 0.4326
0.8887 0.8887 0.1070
0.2940 0.2940 0.4187
0.9368 0.9368 0.2792
0.0611 0.0611 0.7004
0.1196 0.1196 0.3877
0.1456 0.1456 0.1069
0.6417 0.6417 0.8864
0.6975 0.6975 0.5751
0.7533 0.7533 0.2322
0.2386 0.2386 0.7577
0.3553 0.3553 0.1074
0.8431 0.8431 0.8945
0.8766 0.8766 0.6109
0.9984 0.9984 0.9786
```

Results
Volume: 12.55 Å³ per atom
Calculated formation energy: -3.110 eV per atom
ΔE to the lowest computed polymorph: 0.40 eV/f.u.

# 3
Below is Ca3Os2N4 after structural relaxation, with properties calculated at the PBE-GGA level.

```
Ca3Os2N4
1.0
-1.3421 -6.5045 2.3796
4.4483 6.4159 3.9542
-4.4973 1.7984 2.1411
Ca Os N
6 4 8
Direct
0.2265 0.9633 0.0430
0.7735 0.7369 0.4570
0.7735 0.0367 0.9570
0.2265 0.2631 0.5430
0.0000 0.5969 0.7500
0.0000 0.4031 0.2500
0.5482 0.1639 0.5828
0.4518 0.6157 0.9172
0.4518 0.8361 0.4172
0.5482 0.3843 0.0828
0.2153 0.9260 0.5283
0.7847 0.7107 0.9717
0.7847 0.0740 0.4717
0.2153 0.2893 0.0283
0.6873 0.2669 0.9238
0.3127 0.5796 0.5762
0.3127 0.7331 0.0762
0.6873 0.4204 0.4238
```

Results
Volume: 14.25 Å³ per atom
Calculated formation energy: -0.453 eV per atom
ΔE to the lowest computed polymorph: 0.61 eV/f.u.

# 4
Below is CaOsN2 after structural relaxation, with properties calculated at the PBE-GGA level.

```
CaOsN2
1.0
-0.8580 -4.7426 2.5627
1.8181 -5.0923 0.7475
1.9872 -3.5719 3.6178
Ca Os N
1 1 2
Direct
0.0000 0.0000 0.0000
0.5000 0.5000 0.5000
0.7683 0.7683 0.7683
0.2317 0.2317 0.2317
```

Results
Volume: 11.74 Å³ per atom
Calculated formation energy: -0.332 eV per atom

# 5
Below is Ca4OsN4 after structural relaxation, with properties calculated at the PBE-GGA level.

```
Ca4OsN4
1.0
-1.4540 3.8710 4.4797
-5.9626 -0.0898 0.9799
-2.1412 -5.4787 6.4226
Ca Os N
8 2 8
Direct
0.7802 0.5853 0.1510
0.2198 0.4147 0.8490
0.7276 0.2093 0.9816
0.2724 0.7907 0.0184
0.7354 0.4897 0.5668
0.2646 0.5103 0.4332
0.2054 0.9520 0.6216
0.7946 0.0480 0.3784
0.7007 0.8568 0.7569
0.2993 0.1432 0.2431
0.9813 0.6787 0.6221
0.0187 0.3213 0.3779
0.9478 0.8476 0.8841
0.0522 0.1524 0.1159
0.5205 0.6219 0.7925
0.4795 0.3781 0.2075
0.5120 0.8363 0.3280
0.4880 0.1637 0.6720
```

Results
Volume: 15.48 Å³ per atom
Calculated formation energy: -0.782 eV per atom

# 6
Below is Ca5Os2N4 after structural relaxation, with properties calculated at the PBE-GGA level.

```
Ca5Os2N4
1.0
-6.1236 -5.3786 -1.5617
4.9340 -6.2756 2.2668
-3.9004 1.0952 11.5217
Ca Os N
20 8 16
Direct
0.7500 0.7500 0.3330
0.7500 0.7500 0.8330
0.2500 0.2500 0.6670
0.2500 0.2500 0.1670
0.1322 0.5722 0.4012
0.3678 0.5722 0.9012
0.1322 0.9278 0.9012
0.3678 0.9278 0.4012
0.5722 0.1322 0.9012
0.9278 0.1322 0.4012
0.5722 0.3678 0.4012
0.9278 0.3678 0.9012
0.8678 0.4278 0.5988
0.6322 0.4278 0.0988
0.8678 0.0722 0.0988
0.6322 0.0722 0.5988
0.4278 0.8678 0.0988
0.0722 0.8678 0.5988
0.4278 0.6322 0.5988
0.0722 0.6322 0.0988
0.0954 0.9046 0.2500
0.4046 0.9046 0.7500
0.0954 0.5954 0.7500
0.4046 0.5954 0.2500
0.9046 0.0954 0.7500
0.5954 0.0954 0.2500
0.9046 0.4046 0.2500
0.5954 0.4046 0.7500
0.6413 0.0538 0.3973
0.8587 0.0538 0.8973
0.6413 0.4462 0.8973
0.8587 0.4462 0.3973
0.0538 0.6413 0.8973
0.4462 0.6413 0.3973
0.0538 0.8587 0.3973
0.4462 0.8587 0.8973
0.3587 0.9462 0.6027
0.1413 0.9462 0.1027
0.3587 0.5538 0.1027
0.1413 0.5538 0.6027
0.9462 0.3587 0.1027
0.5538 0.3587 0.6027
0.9462 0.1413 0.6027
0.5538 0.1413 0.1027
```

Results
Volume: 19.12 Å³ per atom
Calculated formation energy: -0.664 eV per atom

# 7
Below is CaOsN2 after structural relaxation, with properties calculated at the PBE-GGA level.

```
CaOsN2
1.0
-3.2960 -2.8942 3.0164
7.9227 -1.5788 7.1423
-4.3658 13.0182 7.7204
Ca Os N
16 16 32
Direct
0.7481 0.9957 0.4399
0.2481 0.5043 0.5601
0.2519 0.4957 0.0601
0.7519 0.0043 0.9399
0.2519 0.0043 0.5601
0.7519 0.4957 0.4399
0.7481 0.5043 0.9399
0.2481 0.9957 0.0601
0.8906 0.2809 0.3127
0.3906 0.2191 0.6873
0.1094 0.7809 0.1873
0.6094 0.7191 0.8127
0.1094 0.7191 0.6873
0.6094 0.7809 0.3127
0.8906 0.2191 0.8127
0.3906 0.2809 0.1873
0.7466 0.0287 0.1863
0.2466 0.4713 0.8137
0.2534 0.5287 0.3137
0.7534 0.9713 0.6863
0.2534 0.9713 0.8137
0.7534 0.5287 0.1863
0.7466 0.4713 0.6863
0.2466 0.0287 0.3137
0.8681 0.2668 0.0540
0.3681 0.2332 0.9460
0.1319 0.7668 0.4460
0.6319 0.7332 0.5540
0.1319 0.7332 0.9460
0.6319 0.7668 0.0540
0.8681 0.2332 0.5540
0.3681 0.2668 0.4460
0.6061 0.4719 0.2932
0.1061 0.0281 0.7068
0.3939 0.9719 0.2068
0.8939 0.5281 0.7932
0.3939 0.5281 0.7068
0.8939 0.9719 0.2932
0.6061 0.0281 0.7932
0.1061 0.4719 0.2068
0.7045 0.2153 0.4435
0.2045 0.2847 0.5565
0.2955 0.7153 0.0565
0.7955 0.7847 0.9435
0.2955 0.7847 0.5565
0.7955 0.7153 0.4435
0.7045 0.2847 0.9435
0.2045 0.2153 0.0565
0.7006 0.4281 0.0895
0.2006 0.0719 0.9105
0.2994 0.9281 0.4105
0.7994 0.5719 0.5895
0.2994 0.5719 0.9105
0.7994 0.9281 0.0895
0.7006 0.0719 0.5895
0.2006 0.4281 0.4105
0.8090 0.2006 0.1736
0.3090 0.2994 0.8264
0.1910 0.7006 0.3264
0.6910 0.7994 0.6736
0.1910 0.7994 0.8264
0.6910 0.7006 0.1736
0.8090 0.2994 0.6736
0.3090 0.2006 0.3264
```

Results
Volume: 14.13 Å³ per atom
Calculated formation energy: -0.332 eV per atom

# 8
Below is Ca3Os2N4 after structural relaxation, with properties calculated at the PBE-GGA level.

```
Ca3Os2N4
1.0
-2.8097 5.3333 0.6292
-7.2895 -4.4818 5.4378
4.4815 1.5058 7.2486
Ca Os N
12 8 16
Direct
0.6264 0.1533 0.4225
0.8736 0.8467 0.4225
0.6264 0.3467 0.0775
0.8736 0.6533 0.0775
0.3736 0.8467 0.5775
0.1264 0.1533 0.5775
0.3736 0.6533 0.9225
0.1264 0.3467 0.9225
0.7500 0.5000 0.4023
0.7500 0.0000 0.0977
0.2500 0.5000 0.5977
0.2500 0.0000 0.9023
0.7500 0.5000 0.7478
0.7500 0.0000 0.7522
0.2500 0.5000 0.2522
0.2500 0.0000 0.2478
0.6966 0.2500 0.7500
0.8034 0.7500 0.7500
0.3034 0.7500 0.2500
0.1966 0.2500 0.2500
0.9357 0.3575 0.6503
0.5643 0.6425 0.6503
0.9357 0.1425 0.8497
0.5643 0.8575 0.8497
0.0643 0.6425 0.3497
0.4357 0.3575 0.3497
0.0643 0.8575 0.1503
0.4357 0.1425 0.1503
0.4730 0.3995 0.8155
0.0270 0.6005 0.8155
0.4730 0.1005 0.6845
0.0270 0.8995 0.6845
0.5270 0.6005 0.1845
0.9730 0.3995 0.1845
0.5270 0.8995 0.3155
0.9730 0.1005 0.3155
```

Results
Volume: 14.77 Å³ per atom
Calculated formation energy: -0.521 eV per atom
ΔE to the lowest computed polymorph: 0.00 eV/f.u.

# 9
Below is Ca5Os2N6 after structural relaxation, with properties calculated at the PBE-GGA level.

```
Ca5Os2N6
1.0
3.3008 5.0276 0.0000
-3.3008 5.0276 0.0000
0.0000 2.8914 12.2772
Ca Os N
10 4 12
Direct
0.3854 0.6146 0.7500
0.6146 0.3854 0.2500
0.6777 0.1894 0.0020
0.8106 0.3223 0.4980
0.3223 0.8106 0.9980
0.1894 0.6777 0.5020
0.7317 0.9496 0.7172
0.0504 0.2683 0.7828
0.2683 0.0504 0.2828
0.9496 0.7317 0.2172
0.3190 0.1427 0.5575
0.8573 0.6810 0.9425
0.6810 0.8573 0.4425
0.1427 0.3190 0.0575
0.3984 0.3200 0.6434
0.6800 0.6016 0.8566
0.6016 0.6800 0.3566
0.3200 0.3984 0.1434
0.7052 0.7161 0.5881
0.2839 0.2948 0.9119
0.2948 0.2839 0.4119
0.7161 0.7052 0.0881
0.0900 0.0049 0.6264
0.9951 0.9100 0.8736
0.9100 0.9951 0.3736
0.0049 0.0900 0.1264
```

Results
Volume: 15.67 Å³ per atom
Calculated formation energy: -0.733 eV per atom

# 10
Below is Ca2OsN3 after structural relaxation, with properties calculated at the PBE-GGA level.

```
Ca2OsN3
1.0
-5.5460 1.5259 -1.9621
-10.7706 0.1700 0.8310
0.6412 10.3070 6.2031
Ca Os N
8 4 12
Direct
0.0000 0.4515 0.6405
0.0000 0.5485 0.3595
0.0000 0.0485 0.1405
0.0000 0.9515 0.8595
0.0000 0.1375 0.5763
0.0000 0.8625 0.4237
0.0000 0.3625 0.0763
0.0000 0.6375 0.9237
0.0000 0.2554 0.8447
0.0000 0.7446 0.1553
0.0000 0.2446 0.3447
0.0000 0.7554 0.6553
0.0000 0.1541 0.9726
0.0000 0.8459 0.0274
0.0000 0.3459 0.4726
0.0000 0.6541 0.5274
0.0000 0.4302 0.8651
0.0000 0.5698 0.1349
0.0000 0.0698 0.3651
0.0000 0.9302 0.6349
0.5000 0.4555 0.7500
0.5000 0.0445 0.2500
0.5000 0.5445 0.2500
0.5000 0.9555 0.7500
```

Results
Volume: 15.10 Å³ per atom
Calculated formation energy: -0.591 eV per atom

# 11
Below is Ca11Pb2N10 after structural relaxation, with properties calculated at the PBE-GGA level.

```
Ca11Pb2N10
1.0
-5.4167 -13.0385 7.1392
8.9317 -8.9285 -9.5298
2.7389 0.1769 2.4013
Ca Pb N
22 4 20
Direct
0.5000 0.5000 0.5000
0.0000 0.0000 0.0000
0.0186 0.7690 0.5000
0.9814 0.2310 0.5000
0.4814 0.2690 0.0000
0.5186 0.7310 0.0000
0.7690 0.0186 0.5000
0.2310 0.9814 0.5000
0.2690 0.4814 0.0000
0.7310 0.5186 0.0000
0.7094 0.7094 0.5000
0.2906 0.2906 0.5000
0.7906 0.2094 0.0000
0.2094 0.7906 0.0000
0.3984 0.8802 0.5000
0.6016 0.1198 0.5000
0.1016 0.3802 0.0000
0.8984 0.6198 0.0000
0.8802 0.3984 0.5000
0.1198 0.6016 0.5000
0.3802 0.1016 0.0000
0.6198 0.8984 0.0000
0.3621 0.6379 0.5000
0.6379 0.3621 0.5000
0.1379 0.1379 0.0000
0.8621 0.8621 0.0000
0.0744 0.9256 0.5000
0.9256 0.0744 0.5000
0.4256 0.4256 0.0000
0.5744 0.5744 0.0000
0.4533 0.1722 0.5000
0.5467 0.8278 0.5000
0.0467 0.6722 0.0000
0.9533 0.3278 0.0000
0.1722 0.4533 0.5000
0.8278 0.5467 0.5000
0.6722 0.0467 0.0000
0.3278 0.9533 0.0000
0.8682 0.1318 0.5000
0.1318 0.8682 0.5000
0.6318 0.6318 0.0000
0.3682 0.3682 0.0000
0.7318 0.2682 0.5000
0.2682 0.7318 0.5000
0.7682 0.7682 0.0000
0.2318 0.2318 0.0000
```

Results
Volume: 19.84 Å³ per atom
Calculated formation energy: -0.634 eV per atom

# 12
Below is Ca2PbN2 after structural relaxation, with properties calculated at the PBE-GGA level.

```
Ca2PbN2
1.0
0.0000 -3.5973 0.0000
-3.6074 0.0000 0.0000
0.0000 0.0000 -13.9068
Ca Pb N
4 2 4
Direct
0.7500 0.7517 0.0811
0.7500 0.7517 0.4189
0.2500 0.2483 0.9189
0.2500 0.2483 0.5811
0.7500 0.6522 0.7500
0.2500 0.3478 0.2500
0.7500 0.7778 0.5916
0.7500 0.7778 0.9084
0.2500 0.2222 0.4084
0.2500 0.2222 0.0916
```

Results
Volume: 18.05 Å³ per atom
Calculated formation energy: -0.528 eV per atom
ΔE to the lowest computed polymorph: 0.00 eV/f.u.

# 13
Below is Ca3PbN after structural relaxation, with properties calculated at the PBE-GGA level.

```
Ca3PbN
1.0
-3.8509 2.9638 3.4404
-4.3906 -3.5814 -1.8292
1.1589 -3.7201 4.5020
Ca Pb N
3 1 1
Direct
0.5000 0.5000 0.0000
0.5000 0.0000 0.5000
0.0000 0.5000 0.5000
0.5000 0.5000 0.5000
0.0000 0.0000 0.0000
```

Results
Volume: 42.21 Å³ per atom
Calculated formation energy: 0.749 eV per atom